# 1
Here is a relaxed structure of KPrDySbO6 from Materials Project. Energies are from PBE.

Calculated values
- Theoretical density: 6.38 g/cm3
- Energy: -6.85 eV/atom
- Space-group type: F-43m, No. 216

Cell lengths 5.908, 5.908, 5.908 Å; angles 60.00, 60.00, 60.00 degrees
Fractional coordinates of all 10 atoms:
K 0.000 0.000 0.000
Pr 0.500 0.500 0.500
Dy 0.250 0.250 0.250
Sb 0.750 0.750 0.750
O 0.512 0.512 0.988
O 0.512 0.988 0.512
O 0.512 0.988 0.988
O 0.988 0.512 0.512
O 0.988 0.512 0.988
O 0.988 0.988 0.512



# 2
Here is a relaxed structure of NaTlPd2 from Materials Project. Energies are from PBE.

Calculated values
- Theoretical density: 9.85 g/cm3
- Energy: -3.70 eV/atom
- Space-group type: Fm-3m, No. 225

Cell lengths 6.670, 6.670, 6.670 Å; angles 90.00, 90.00, 90.00 degrees
Fractional coordinates of all 16 atoms:
Na 0.000 0.000 0.000
Na 0.000 0.500 0.500
Na 0.500 0.000 0.500
Na 0.500 0.500 0.000
Tl 0.000 0.000 0.500
Tl 0.000 0.500 0.000
Tl 0.500 0.000 0.000
Tl 0.500 0.500 0.500
Pd 0.250 0.250 0.250
Pd 0.250 0.250 0.750
Pd 0.250 0.750 0.250
Pd 0.250 0.750 0.750
Pd 0.750 0.250 0.250
Pd 0.750 0.250 0.750
Pd 0.750 0.750 0.250
Pd 0.750 0.750 0.750



# 3
Here is a relaxed structure of AlRh from Materials Project. Energies are from PBE.

Calculated values
- Theoretical density: 7.93 g/cm3
- Energy: -6.64 eV/atom
- Space-group type: Pm-3m, No. 221

Cell lengths 3.007, 3.007, 3.007 Å; angles 90.00, 90.00, 90.00 degrees
Fractional coordinates of all 2 atoms:
Al 0.000 0.000 0.000
Rh 0.500 0.500 0.500



# 4
Here is a relaxed structure of MgCu6O4F4 from Materials Project. Energies are from PBE.

Calculated values
- Theoretical density: 5.14 g/cm3
- Energy: -4.71 eV/atom
- Space-group type: P1, No. 1

Cell lengths 5.498, 5.607, 6.067 Å; angles 90.61, 90.35, 109.42 degrees
Fractional coordinates of all 15 atoms:
Mg 0.000 0.000 0.000
Cu 0.008 0.795 0.405
Cu 0.011 0.419 0.811
Cu 0.493 0.602 0.471
Cu 0.504 0.094 0.719
Cu 0.532 0.553 0.979
Cu 0.555 0.077 0.230
O 0.330 0.405 0.723
O 0.356 0.883 0.473
O 0.700 0.283 0.968
O 0.718 0.794 0.207
F 0.227 0.244 0.201
F 0.233 0.810 0.959
F 0.750 0.404 0.470
F 0.831 0.903 0.718



# 5
Here is a relaxed structure of NaCaAlS3O12 from Materials Project. Energies are from PBE.

Calculated values
- Theoretical density: 2.52 g/cm3
- Energy: -6.27 eV/atom

Cell lengths 8.807, 8.807, 22.280 Å; angles 90.00, 90.00, 120.00 degrees
Fractional coordinates of all 108 atoms:
Na 0.333 0.667 0.669
O 0.124 0.442 0.577
O 0.788 0.954 0.695
O 0.558 0.682 0.577
Ca 0.667 0.333 0.192
O 0.652 0.543 0.243
Na 0.333 0.667 0.169
O 0.891 0.348 0.243
O 0.203 0.996 0.304
O 0.870 0.540 0.138
O 0.124 0.682 0.077
O 0.189 0.128 0.088
O 0.606 0.462 0.921
O 0.939 0.811 0.088
O 0.166 0.954 0.195
O 0.522 0.727 0.254
O 0.457 0.109 0.243
O 0.872 0.061 0.088
Al 0.333 0.667 0.315
Ca 0.667 0.333 0.692
S 0.027 0.392 0.916
Na 0.667 0.333 0.835
O 0.713 0.168 0.029
O 0.538 0.144 0.921
O 0.273 0.478 0.754
Al 0.667 0.333 0.982
S 0.699 0.640 0.583
O 0.538 0.394 0.421
O 0.460 0.330 0.138
O 0.380 0.879 0.862
O 0.985 0.776 0.410
O 0.856 0.394 0.921
Al 0.000 0.000 0.648
O 0.166 0.212 0.695
O 0.870 0.330 0.638
S 0.274 0.968 0.250
O 0.670 0.130 0.138
S 0.274 0.307 0.750
S 0.608 0.634 0.916
Al 0.000 0.000 0.148
S 0.608 0.973 0.416
O 0.273 0.795 0.254
O 0.856 0.462 0.421
O 0.460 0.130 0.638
O 0.455 0.168 0.529
O 0.004 0.797 0.804
Ca 0.000 0.000 0.858
Ca 0.000 0.000 0.358
O 0.203 0.207 0.804
O 0.537 0.874 0.471
O 0.224 0.015 0.910
O 0.788 0.834 0.195
O 0.793 0.797 0.304
O 0.337 0.874 0.971
S 0.941 0.301 0.583
O 0.380 0.501 0.362
S 0.693 0.726 0.250
O 0.121 0.620 0.362
O 0.790 0.015 0.410
O 0.004 0.207 0.304
S 0.366 0.392 0.416
O 0.558 0.876 0.077
O 0.652 0.109 0.743
O 0.832 0.545 0.029
O 0.318 0.442 0.077
O 0.499 0.879 0.362
S 0.693 0.968 0.750
O 0.046 0.212 0.195
O 0.046 0.834 0.695
O 0.522 0.795 0.754
O 0.872 0.811 0.588
O 0.606 0.144 0.421
O 0.832 0.287 0.529
Na 0.000 0.000 0.002
Na 0.667 0.333 0.335
O 0.126 0.463 0.971
O 0.891 0.543 0.743
O 0.337 0.463 0.471
S 0.366 0.973 0.916
S 0.032 0.307 0.250
O 0.205 0.478 0.254
Na 0.000 0.000 0.502
O 0.224 0.210 0.410
O 0.670 0.540 0.638
S 0.360 0.301 0.083
Al 0.667 0.333 0.482
O 0.126 0.663 0.471
O 0.455 0.287 0.029
S 0.941 0.640 0.083
S 0.360 0.059 0.583
O 0.793 0.996 0.804
O 0.537 0.663 0.971
O 0.939 0.128 0.588
O 0.318 0.876 0.577
O 0.121 0.501 0.862
O 0.713 0.545 0.529
O 0.205 0.727 0.754
S 0.027 0.634 0.416
O 0.457 0.348 0.743
O 0.189 0.061 0.588
S 0.032 0.726 0.750
S 0.699 0.059 0.083
O 0.499 0.620 0.862
O 0.985 0.210 0.910
Ca 0.333 0.667 0.525
O 0.790 0.776 0.910
Ca 0.333 0.667 0.025
Al 0.333 0.667 0.815



# 6
Here is a relaxed structure of SbPb4 from Materials Project. Energies are from PBE.

Calculated values
- Theoretical density: 10.18 g/cm3
- Energy: -3.74 eV/atom
- Space-group type: R-3m, No. 166

Cell lengths 3.560, 3.560, 42.390 Å; angles 90.00, 90.00, 120.00 degrees
Fractional coordinates of all 15 atoms:
Sb 0.000 0.000 0.000
Sb 0.333 0.667 0.667
Sb 0.667 0.333 0.333
Pb 0.000 0.000 0.200
Pb 0.000 0.000 0.396
Pb 0.000 0.000 0.604
Pb 0.000 0.000 0.800
Pb 0.333 0.667 0.063
Pb 0.333 0.667 0.270
Pb 0.333 0.667 0.466
Pb 0.333 0.667 0.867
Pb 0.667 0.333 0.133
Pb 0.667 0.333 0.534
Pb 0.667 0.333 0.730
Pb 0.667 0.333 0.937



# 7
Here is a relaxed structure of SmCuP2 from Materials Project. Energies are from PBE.

Calculated values
- Theoretical density: 6.47 g/cm3
- Energy: -5.76 eV/atom
- Space-group type: I4/mmm, No. 139

Cell lengths 3.774, 3.774, 19.871 Å; angles 90.00, 90.00, 90.00 degrees
Fractional coordinates of all 16 atoms:
Sm 0.000 0.000 0.117
Sm 0.000 0.000 0.883
Sm 0.500 0.500 0.383
Sm 0.500 0.500 0.617
Cu 0.000 0.500 0.250
Cu 0.000 0.500 0.750
Cu 0.500 0.000 0.250
Cu 0.500 0.000 0.750
P 0.000 0.000 0.325
P 0.000 0.000 0.675
P 0.000 0.500 0.000
P 0.000 0.500 0.500
P 0.500 0.000 0.000
P 0.500 0.000 0.500
P 0.500 0.500 0.175
P 0.500 0.500 0.825



# 8
Here is a relaxed structure of SnPbSe2 from Materials Project. Energies are from PBE.

Calculated values
- Theoretical density: 6.94 g/cm3
- Energy: -4.17 eV/atom
- Space-group type: R-3m, No. 166

Cell lengths 4.342, 4.342, 21.263 Å; angles 90.00, 90.00, 120.00 degrees
Fractional coordinates of all 12 atoms:
Sn 0.000 0.000 0.000
Sn 0.333 0.667 0.667
Sn 0.667 0.333 0.333
Pb 0.000 0.000 0.500
Pb 0.333 0.667 0.167
Pb 0.667 0.333 0.833
Se 0.000 0.000 0.252
Se 0.000 0.000 0.748
Se 0.333 0.667 0.414
Se 0.333 0.667 0.919
Se 0.667 0.333 0.081
Se 0.667 0.333 0.586



# 9
Here is a relaxed structure of CsMgAsH6O4 from Materials Project. Energies are from PBE.

Calculated values
- Theoretical density: 1.84 g/cm3
- Energy: -3.23 eV/atom
- Space-group type: F-43m, No. 216

Cell lengths 7.276, 7.276, 7.276 Å; angles 60.00, 60.00, 60.00 degrees
Fractional coordinates of all 13 atoms:
Cs 0.000 0.000 0.000
Mg 0.500 0.500 0.500
As 0.750 0.750 0.750
H 0.304 0.304 0.696
H 0.304 0.696 0.304
H 0.304 0.696 0.696
H 0.696 0.304 0.304
H 0.696 0.304 0.696
H 0.696 0.696 0.304
O 0.460 0.847 0.847
O 0.847 0.460 0.847
O 0.847 0.847 0.460
O 0.847 0.847 0.847



# 10
Here is a relaxed structure of Na2Bi4O7 from Materials Project. Energies are from PBE.

Calculated values
- Theoretical density: 6.28 g/cm3
- Energy: -5.38 eV/atom
- Space-group type: C2/c, No. 15

Cell lengths 10.522, 10.522, 5.975 Å; angles 105.06, 105.06, 114.84 degrees
Fractional coordinates of all 26 atoms:
Na 0.008 0.834 0.923
Na 0.166 0.992 0.577
Na 0.834 0.008 0.423
Na 0.992 0.166 0.077
Bi 0.106 0.621 0.326
Bi 0.232 0.372 0.747
Bi 0.372 0.232 0.247
Bi 0.379 0.894 0.174
Bi 0.621 0.106 0.826
Bi 0.628 0.768 0.753
Bi 0.768 0.628 0.253
Bi 0.894 0.379 0.674
O 0.008 0.280 0.477
O 0.127 0.504 0.960
O 0.180 0.820 0.250
O 0.187 0.219 0.923
O 0.219 0.187 0.423
O 0.280 0.008 0.977
O 0.496 0.873 0.540
O 0.504 0.127 0.460
O 0.720 0.992 0.023
O 0.781 0.813 0.577
O 0.813 0.781 0.077
O 0.820 0.180 0.750
O 0.873 0.496 0.040
O 0.992 0.720 0.523



# 11
Here is a relaxed structure of NdZn3 from Materials Project. Energies are from PBE.

Calculated values
- Theoretical density: 7.18 g/cm3
- Energy: -2.48 eV/atom
- Space-group type: Pnma, No. 62

Cell lengths 6.720, 4.532, 10.348 Å; angles 90.00, 90.00, 90.00 degrees
Fractional coordinates of all 16 atoms:
Nd 0.222 0.250 0.160
Nd 0.278 0.750 0.660
Nd 0.722 0.250 0.340
Nd 0.778 0.750 0.840
Zn 0.036 0.750 0.396
Zn 0.084 0.250 0.853
Zn 0.216 0.750 0.957
Zn 0.284 0.250 0.457
Zn 0.416 0.750 0.353
Zn 0.464 0.250 0.896
Zn 0.536 0.750 0.104
Zn 0.584 0.250 0.647
Zn 0.716 0.750 0.543
Zn 0.784 0.250 0.043
Zn 0.916 0.750 0.147
Zn 0.964 0.250 0.604